<a>
First-principles (PBE) data for a geometry-optimized AlCo2S4 structure, as listed in Materials Project.

a b c (Å): 6.8074 6.8074 6.8074
angles (deg): 60.00 60.00 60.00
Closest atoms and distances in Å follow each position.
Fractional coordinates of all 14 atoms:
Al 0.2500 0.2500 0.2500  4 S 2.31
Al 0.0000 0.0000 0.0000  4 S 2.31
Co 0.1250 0.6250 0.6250  6 S 2.28
Co 0.6250 0.6250 0.1250  6 S 2.28
Co 0.6250 0.6250 0.6250  6 S 2.28
Co 0.6250 0.1250 0.6250  6 S 2.28
S 0.4153 0.8616 0.8616  3 Co 2.28, 1 Al 2.31
S 0.8616 0.8616 0.4153  3 Co 2.28, 1 Al 2.31
S 0.8616 0.8616 0.8616  3 Co 2.28, 1 Al 2.31
S 0.8347 0.3884 0.3884  3 Co 2.28, 1 Al 2.31
S 0.3884 0.8347 0.3884  3 Co 2.28, 1 Al 2.31
S 0.3884 0.3884 0.8347  3 Co 2.28, 1 Al 2.31
S 0.8616 0.4153 0.8616  3 Co 2.28, 1 Al 2.31
S 0.3884 0.3884 0.3884  3 Co 2.28, 1 Al 2.31

Output
**Total magnetization**: 0.12 Bohr magnetons per cell

***

<b>
First-principles (PBE) data for a geometry-optimized AlCo2S4 structure, as listed in Materials Project.

a b c (Å): 6.7562 6.7562 6.7562
angles (deg): 120.37 117.96 91.46
Closest atoms and distances in Å follow each position.
Fractional coordinates of all 14 atoms:
Al 0.5000 0.0000 0.5000  6 S 2.41-2.47
Al 0.0000 0.0000 0.0000  6 S 2.41-2.47
Co 0.5000 0.5000 0.5000  6 S 2.25-2.26
Co 0.5000 0.5000 0.0000  6 S 2.33-2.38
Co 0.5000 0.0000 0.0000  6 S 2.25-2.26
Co 0.0000 0.5000 0.5000  6 S 2.33-2.38
S 0.7206 0.2539 0.4667  3 Co 2.26-2.33, 1 Al 2.41
S 0.7383 0.7290 0.4908  3 Co 2.25-2.38, 2 Al 2.47
S 0.2872 0.2539 0.0333  3 Co 2.26-2.33, 1 Al 2.41
S 0.2617 0.7525 0.9908  3 Co 2.25-2.38, 2 Al 2.47
S 0.7128 0.7461 0.9667  3 Co 2.26-2.33, 1 Al 2.41
S 0.2617 0.2710 0.5092  3 Co 2.25-2.38, 2 Al 2.47
S 0.7383 0.2475 0.0092  3 Co 2.25-2.38, 2 Al 2.47
S 0.2794 0.7461 0.5333  3 Co 2.26-2.33, 1 Al 2.41

Output
**Total magnetization**: 1.96 Bohr magnetons per cell

***

Short version: <b> is the least stable of them.

***

<a>
First-principles (PBE) data for a geometry-optimized AlCrFe2 structure, as listed in Materials Project.

a b c (Å): 2.8228 2.8228 5.7258
angles (deg): 90.00 90.00 90.00
Closest atoms and distances in Å follow each position.
Fractional coordinates of all 4 atoms:
Al 0.0000 0.0000 0.5000  8 Fe 2.49
Cr 0.0000 0.0000 0.0000  8 Fe 2.43
Fe 0.5000 0.5000 0.2412  4 Cr 2.43, 4 Al 2.49
Fe 0.5000 0.5000 0.7588  4 Cr 2.43, 4 Al 2.49

Output
**Total magnetization**: 1.04 Bohr magnetons per cell

***

<b>
First-principles (PBE) data for a geometry-optimized AlCrFe2 structure, as listed in Materials Project.

a b c (Å): 4.0089 4.0089 4.0089
angles (deg): 60.00 60.00 60.00
Closest atoms and distances in Å follow each position.
Fractional coordinates of all 4 atoms:
Al 0.0000 0.0000 0.0000  8 Fe 2.45
Cr 0.5000 0.5000 0.5000  8 Fe 2.45
Fe 0.2500 0.2500 0.2500  4 Cr 2.45, 4 Al 2.45
Fe 0.7500 0.7500 0.7500  4 Al 2.45, 4 Cr 2.45

***

<c>
First-principles (PBE) data for a geometry-optimized AlCrFe2 structure, as listed in Materials Project.

a b c (Å): 2.5323 2.5323 7.9530
angles (deg): 90.00 90.00 107.28
Closest atoms and distances in Å follow each position.
Fractional coordinates of all 4 atoms:
Al 0.5000 0.5000 0.2537  2 Fe 2.50, 4 Al 2.53, 2 Cr 2.56
Cr 0.0000 0.0000 0.9927  2 Fe 2.45, 4 Cr 2.53, 2 Al 2.56
Fe 0.0000 0.0000 0.5044  6 Fe 2.46-2.53, 2 Al 2.50
Fe 0.5000 0.5000 0.7492  2 Cr 2.45, 6 Fe 2.46-2.53

Output
**Total magnetization**: 3.96 Bohr magnetons per cell

***

Short version: <c> is the least stable of them.

***

<a>
First-principles (PBE) data for a geometry-optimized Mg6AlCr structure, as listed in Materials Project.

a b c (Å): 5.0010 6.1218 10.7790
angles (deg): 90.00 90.00 90.00
Closest atoms and distances in Å follow each position.
Fractional coordinates of all 16 atoms:
Mg 0.5000 0.2508 0.4167  8 Mg 3.05-3.09, 2 Cr 3.09-3.11, 2 Al 3.10
Mg 0.5000 0.7492 0.4167  8 Mg 3.05-3.09, 2 Cr 3.09-3.11, 2 Al 3.10
Mg 0.0000 0.7478 0.0856  8 Mg 3.03-3.16, 2 Cr 3.05, 2 Al 3.07
Mg 0.0000 0.2522 0.0856  8 Mg 3.03-3.16, 2 Cr 3.05, 2 Al 3.07
Mg 0.0000 0.0000 0.3314  10 Mg 3.06-3.13, 2 Al 3.07
Mg 0.0000 0.5000 0.3300  10 Mg 3.04-3.16, 2 Cr 3.06
Mg 0.5000 0.7508 0.9167  8 Mg 3.05-3.09, 2 Cr 3.09-3.11, 2 Al 3.10
Mg 0.5000 0.2492 0.9167  8 Mg 3.05-3.09, 2 Cr 3.09-3.11, 2 Al 3.10
Mg 0.0000 0.2478 0.5856  8 Mg 3.03-3.16, 2 Cr 3.05, 2 Al 3.07
Mg 0.0000 0.7522 0.5856  8 Mg 3.03-3.16, 2 Cr 3.05, 2 Al 3.07
Mg 0.0000 0.5000 0.8314  10 Mg 3.06-3.13, 2 Al 3.07
Mg 0.0000 0.0000 0.8300  10 Mg 3.04-3.16, 2 Cr 3.06
Al 0.5000 0.0000 0.1669  2 Cr 3.06, 10 Mg 3.07-3.10
Al 0.5000 0.5000 0.6669  2 Cr 3.06, 10 Mg 3.07-3.10
Cr 0.5000 0.5000 0.1672  10 Mg 3.05-3.11, 2 Al 3.06
Cr 0.5000 0.0000 0.6672  10 Mg 3.05-3.11, 2 Al 3.06

Output
**Total magnetization**: 8.04 Bohr magnetons per cell

***

<b>
First-principles (PBE) data for a geometry-optimized Mg6AlCr structure, as listed in Materials Project.

a b c (Å): 4.9184 6.2413 10.7111
angles (deg): 90.00 90.00 90.00
Closest atoms and distances in Å follow each position.
Fractional coordinates of all 16 atoms:
Mg 0.0000 0.2555 0.0859  2 Al 3.00-3.20, 2 Cr 3.04, 8 Mg 3.05-3.19
Mg 0.0000 0.7445 0.0859  2 Al 3.00-3.20, 2 Cr 3.04, 8 Mg 3.05-3.19
Mg 0.0000 0.5000 0.8325  10 Mg 3.04-3.11, 2 Al 3.12
Mg 0.5000 0.2456 0.9152  2 Cr 3.02-3.18, 2 Al 3.05, 8 Mg 3.06-3.18
Mg 0.5000 0.7544 0.9152  2 Cr 3.02-3.18, 2 Al 3.05, 8 Mg 3.06-3.18
Mg 0.5000 0.5000 0.6662  10 Mg 3.04-3.10, 2 Cr 3.12
Mg 0.0000 0.7555 0.5859  2 Al 3.00-3.20, 2 Cr 3.04, 8 Mg 3.05-3.19
Mg 0.0000 0.2445 0.5859  2 Al 3.00-3.20, 2 Cr 3.04, 8 Mg 3.05-3.19
Mg 0.0000 0.0000 0.3325  10 Mg 3.04-3.11, 2 Al 3.12
Mg 0.5000 0.7456 0.4152  2 Cr 3.02-3.18, 2 Al 3.05, 8 Mg 3.06-3.18
Mg 0.5000 0.2544 0.4152  2 Cr 3.02-3.18, 2 Al 3.05, 8 Mg 3.06-3.18
Mg 0.5000 0.0000 0.1662  10 Mg 3.04-3.10, 2 Cr 3.12
Al 0.0000 0.5000 0.3266  2 Cr 2.96, 10 Mg 3.00-3.20
Al 0.0000 0.0000 0.8266  2 Cr 2.96, 10 Mg 3.00-3.20
Cr 0.5000 0.5000 0.1724  2 Al 2.96, 10 Mg 3.02-3.18
Cr 0.5000 0.0000 0.6724  2 Al 2.96, 10 Mg 3.02-3.18

Output
**Total magnetization**: 7.90 Bohr magnetons per cell

***

Short version: <a> is the least stable of them.

***

<a>
First-principles (PBE) data for a geometry-optimized UAl20Cr2 structure, as listed in Materials Project.

a b c (Å): 10.1532 10.1532 10.1532
angles (deg): 60.00 60.00 60.00
Closest atoms and distances in Å follow each position.
Fractional coordinates of all 46 atoms:
U 0.5000 0.5000 0.5000  16 Al 3.11-3.17
U 0.7500 0.7500 0.7500  16 Al 3.11-3.17
Al 0.1250 0.6250 0.6250  12 Al 3.07, 2 U 3.11
Al 0.6250 0.1250 0.6250  12 Al 3.07, 2 U 3.11
Al 0.6250 0.6250 0.1250  12 Al 3.07, 2 U 3.11
Al 0.6250 0.6250 0.6250  12 Al 3.07, 2 U 3.11
Al 0.8636 0.8636 0.1364  2 Cr 2.54, 10 Al 2.70-2.82
Al 0.1364 0.1364 0.8636  2 Cr 2.54, 10 Al 2.70-2.82
Al 0.8636 0.1364 0.8636  2 Cr 2.54, 10 Al 2.70-2.82
Al 0.1364 0.8636 0.1364  2 Cr 2.54, 10 Al 2.70-2.82
Al 0.1364 0.8636 0.8636  2 Cr 2.54, 10 Al 2.70-2.82
Al 0.8636 0.1364 0.1364  2 Cr 2.54, 10 Al 2.70-2.82
Al 0.3864 0.3864 0.1136  2 Cr 2.54, 10 Al 2.70-2.82
Al 0.1136 0.1136 0.3864  2 Cr 2.54, 10 Al 2.70-2.82
Al 0.3864 0.1136 0.3864  2 Cr 2.54, 10 Al 2.70-2.82
Al 0.1136 0.3864 0.1136  2 Cr 2.54, 10 Al 2.70-2.82
Al 0.1136 0.3864 0.3864  2 Cr 2.54, 10 Al 2.70-2.82
Al 0.3864 0.1136 0.1136  2 Cr 2.54, 10 Al 2.70-2.82
Al 0.5681 0.2998 0.2998  8 Al 2.68-2.90, 1 Cr 2.78
Al 0.2998 0.5681 0.8322  8 Al 2.68-2.90, 1 Cr 2.78
Al 0.2998 0.8322 0.5681  8 Al 2.68-2.90, 1 Cr 2.78
Al 0.8322 0.2998 0.2998  8 Al 2.68-2.90, 1 Cr 2.78
Al 0.2998 0.2998 0.5681  8 Al 2.68-2.90, 1 Cr 2.78
Al 0.5681 0.8322 0.2998  8 Al 2.68-2.90, 1 Cr 2.78
Al 0.8322 0.5681 0.2998  8 Al 2.68-2.90, 1 Cr 2.78
Al 0.2998 0.2998 0.8322  8 Al 2.68-2.90, 1 Cr 2.78
Al 0.2998 0.5681 0.2998  8 Al 2.68-2.90, 1 Cr 2.78
Al 0.8322 0.2998 0.5681  8 Al 2.68-2.90, 1 Cr 2.78
Al 0.5681 0.2998 0.8322  8 Al 2.68-2.90, 1 Cr 2.78
Al 0.2998 0.8322 0.2998  8 Al 2.68-2.90, 1 Cr 2.78
Al 0.6819 0.9502 0.9502  8 Al 2.68-2.90, 1 Cr 2.78
Al 0.9502 0.6819 0.4178  8 Al 2.68-2.90, 1 Cr 2.78
Al 0.9502 0.4178 0.6819  8 Al 2.68-2.90, 1 Cr 2.78
Al 0.4178 0.9502 0.9502  8 Al 2.68-2.90, 1 Cr 2.78
Al 0.9502 0.9502 0.6819  8 Al 2.68-2.90, 1 Cr 2.78
Al 0.6819 0.4178 0.9502  8 Al 2.68-2.90, 1 Cr 2.78
Al 0.4178 0.6819 0.9502  8 Al 2.68-2.90, 1 Cr 2.78
Al 0.9502 0.9502 0.4178  8 Al 2.68-2.90, 1 Cr 2.78
Al 0.9502 0.6819 0.9502  8 Al 2.68-2.90, 1 Cr 2.78
Al 0.4178 0.9502 0.6819  8 Al 2.68-2.90, 1 Cr 2.78
Al 0.6819 0.9502 0.4178  8 Al 2.68-2.90, 1 Cr 2.78
Al 0.9502 0.4178 0.9502  8 Al 2.68-2.90, 1 Cr 2.78
Cr 0.6250 0.1250 0.1250  12 Al 2.54-2.78
Cr 0.1250 0.6250 0.1250  12 Al 2.54-2.78
Cr 0.1250 0.1250 0.6250  12 Al 2.54-2.78
Cr 0.1250 0.1250 0.1250  12 Al 2.54-2.78

Output
**Total magnetization**: 1.95 Bohr magnetons per cell

***

<b>
First-principles (PBE) data for a geometry-optimized UAl20Cr2 structure, as listed in Materials Project.

a b c (Å): 10.3443 10.3443 10.3443
angles (deg): 60.00 60.00 60.00
Closest atoms and distances in Å follow each position.
Fractional coordinates of all 46 atoms:
U 0.5000 0.5000 0.5000  12 Al 3.16, 4 Cr 3.17
U 0.7500 0.7500 0.7500  12 Al 3.16, 4 Cr 3.17
Al 0.8626 0.8626 0.1374  8 Al 2.59-2.84
Al 0.1374 0.1374 0.8626  8 Al 2.59-2.84
Al 0.8626 0.1374 0.8626  8 Al 2.59-2.84
Al 0.1374 0.8626 0.1374  8 Al 2.59-2.84
Al 0.1374 0.8626 0.8626  8 Al 2.59-2.84
Al 0.8626 0.1374 0.1374  8 Al 2.59-2.84
Al 0.3874 0.3874 0.1126  8 Al 2.59-2.84
Al 0.1126 0.1126 0.3874  8 Al 2.59-2.84
Al 0.3874 0.1126 0.3874  8 Al 2.59-2.84
Al 0.1126 0.3874 0.1126  8 Al 2.59-2.84
Al 0.1126 0.3874 0.3874  8 Al 2.59-2.84
Al 0.3874 0.1126 0.1126  8 Al 2.59-2.84
Al 0.5692 0.3038 0.3038  7 Al 2.63-2.93
Al 0.3038 0.5692 0.8233  7 Al 2.63-2.93
Al 0.3038 0.8233 0.5692  7 Al 2.63-2.93
Al 0.8233 0.3038 0.3038  7 Al 2.63-2.93
Al 0.3038 0.3038 0.5692  7 Al 2.63-2.93
Al 0.5692 0.8233 0.3038  7 Al 2.63-2.93
Al 0.8233 0.5692 0.3038  7 Al 2.63-2.93
Al 0.3038 0.3038 0.8233  7 Al 2.63-2.93
Al 0.3038 0.5692 0.3038  7 Al 2.63-2.93
Al 0.8233 0.3038 0.5692  7 Al 2.63-2.93
Al 0.5692 0.3038 0.8233  7 Al 2.63-2.93
Al 0.3038 0.8233 0.3038  7 Al 2.63-2.93
Al 0.6808 0.9462 0.9462  7 Al 2.63-2.93
Al 0.9462 0.6808 0.4267  7 Al 2.63-2.93
Al 0.9462 0.4267 0.6808  7 Al 2.63-2.93
Al 0.4267 0.9462 0.9462  7 Al 2.63-2.93
Al 0.9462 0.9462 0.6808  7 Al 2.63-2.93
Al 0.6808 0.4267 0.9462  7 Al 2.63-2.93
Al 0.4267 0.6808 0.9462  7 Al 2.63-2.93
Al 0.9462 0.9462 0.4267  7 Al 2.63-2.93
Al 0.9462 0.6808 0.9462  7 Al 2.63-2.93
Al 0.4267 0.9462 0.6808  7 Al 2.63-2.93
Al 0.6808 0.9462 0.4267  7 Al 2.63-2.93
Al 0.9462 0.4267 0.9462  7 Al 2.63-2.93
Al 0.6250 0.1250 0.1250  6 Al 2.59
Al 0.1250 0.6250 0.1250  6 Al 2.59
Al 0.1250 0.1250 0.6250  6 Al 2.59
Al 0.1250 0.1250 0.1250  6 Al 2.59
Cr 0.1250 0.6250 0.6250  12 Al 3.08, 2 U 3.17
Cr 0.6250 0.1250 0.6250  12 Al 3.08, 2 U 3.17
Cr 0.6250 0.6250 0.1250  12 Al 3.08, 2 U 3.17
Cr 0.6250 0.6250 0.6250  12 Al 3.08, 2 U 3.17

Output
**Total magnetization**: 13.80 Bohr magnetons per cell

***

Short version: <b> is the least stable of them.